Below is an optimized crystal structure of Cs2PtF6, with properties calculated at the r2SCAN level.

Results
* E_tot: -15.742 eV per atom
* formation energy: -2358 meV per atom
* magnetic moment: 0.000 μB/f.u.

Lattice parameters (Å, degrees): 6.3540 6.3540 6.3540 60.00 60.00 60.00
Closest atoms and distances in Å follow each position.
Fractional coordinates of all 9 atoms:
Cs 0.2500 0.2500 0.2500  12 F 3.19
Cs 0.7500 0.7500 0.7500  12 F 3.19
Pt 0.0000 0.0000 0.0000  6 F 1.96
F 0.2178 0.2178 0.7822  1 Pt 1.96
F 0.2178 0.7822 0.2178  1 Pt 1.96
F 0.2178 0.7822 0.7822  1 Pt 1.96
F 0.7822 0.2178 0.2178  1 Pt 1.96
F 0.7822 0.2178 0.7822  1 Pt 1.96
F 0.7822 0.7822 0.2178  1 Pt 1.96